The following is a DFT calculation (r2SCAN) of a relaxed DyB4Os crystal.

Results
For the total energy, the calculation gives -472.934 eV per cell. The magnetic moment comes out at 0.00 μB per atom.

a = 5.9574 Å, b = 11.5247 Å, c = 3.5644 Å
α = 90.00°, β = 90.00°, γ = 90.00°
Closest atoms and distances in Å follow each position.
Sites, in units of the cell vectors:
Dy1 0.1281 0.1501 0.0000  14 B 2.64-2.77, 1 Os 2.95
Dy2 0.3719 0.6501 0.0000  14 B 2.64-2.77, 1 Os 2.95
Dy3 0.6281 0.3499 0.0000  14 B 2.64-2.77, 1 Os 2.95
Dy4 0.8719 0.8499 0.0000  14 B 2.64-2.77, 1 Os 2.95
B1 0.0251 0.6911 0.5000  3 B 1.74-1.87
B2 0.1124 0.5467 0.5000  3 B 1.72-1.74
B3 0.1367 0.9699 0.5000  3 B 1.74-1.85
B4 0.2113 0.8144 0.5000  3 B 1.80-1.87
B5 0.2887 0.3144 0.5000  3 B 1.80-1.87
B6 0.3633 0.4699 0.5000  3 B 1.74-1.85
B7 0.3876 0.0467 0.5000  3 B 1.72-1.74
B8 0.4749 0.1911 0.5000  3 B 1.74-1.87
B9 0.5251 0.8089 0.5000  3 B 1.74-1.87
B10 0.6124 0.9533 0.5000  3 B 1.72-1.74
B11 0.6367 0.5301 0.5000  3 B 1.74-1.85
B12 0.7113 0.6856 0.5000  3 B 1.80-1.87
B13 0.7887 0.1856 0.5000  3 B 1.80-1.87
B14 0.8633 0.0301 0.5000  3 B 1.74-1.85
B15 0.8876 0.4533 0.5000  3 B 1.72-1.74
B16 0.9749 0.3089 0.5000  3 B 1.74-1.87
Os1 0.1411 0.4064 0.0000  10 B 2.25-2.41
Os2 0.3589 0.9064 0.0000  10 B 2.25-2.41
Os3 0.6411 0.0936 0.0000  10 B 2.25-2.41
Os4 0.8589 0.5936 0.0000  10 B 2.25-2.41

The following is a DFT calculation (r2SCAN) of a relaxed Dy2ReB6 crystal.

Results
For the total energy, the calculation gives -666.782 eV per cell. The magnetic moment comes out at 0.00 μB per atom.

a = 9.1647 Å, b = 11.5426 Å, c = 3.6815 Å
α = 90.00°, β = 90.00°, γ = 90.00°
Closest atoms and distances in Å follow each position.
Sites, in units of the cell vectors:
Dy1 0.0575 0.1305 0.0000  12 B 2.60-2.62, 2 Re 2.84
Dy2 0.1761 0.4141 0.0000  14 B 2.75-2.84, 2 Re 3.08
Dy3 0.3239 0.9141 0.0000  14 B 2.75-2.84, 2 Re 3.08
Dy4 0.4425 0.6305 0.0000  12 B 2.60-2.62, 2 Re 2.84
Dy5 0.5575 0.3695 0.0000  12 B 2.60-2.62, 2 Re 2.84
Dy6 0.6761 0.0859 0.0000  14 B 2.75-2.84, 2 Re 3.08
Dy7 0.8239 0.5859 0.0000  14 B 2.75-2.84, 2 Re 3.08
Dy8 0.9425 0.8695 0.0000  12 B 2.60-2.62, 2 Re 2.84
Re1 0.1383 0.6792 0.0000  10 B 2.36-2.41
Re2 0.3617 0.1792 0.0000  10 B 2.36-2.41
Re3 0.6383 0.8208 0.0000  10 B 2.36-2.41
Re4 0.8617 0.3208 0.0000  10 B 2.36-2.41
B1 0.0175 0.2883 0.5000  3 B 1.79-1.86
B2 0.0533 0.5672 0.5000  3 B 1.79-1.83
B3 0.0998 0.9721 0.5000  3 B 1.84-1.94
B4 0.1307 0.8142 0.5000  3 B 1.73-1.84
B5 0.2087 0.2349 0.5000  3 B 1.73-1.86
B6 0.2487 0.5818 0.5000  3 B 1.80-1.88
B7 0.2513 0.0818 0.5000  3 B 1.80-1.88
B8 0.2913 0.7349 0.5000  3 B 1.73-1.86
B9 0.3693 0.3142 0.5000  3 B 1.73-1.84
B10 0.4002 0.4721 0.5000  3 B 1.84-1.94
B11 0.4467 0.0672 0.5000  3 B 1.79-1.83
B12 0.4825 0.7883 0.5000  3 B 1.79-1.86
B13 0.5175 0.2117 0.5000  3 B 1.79-1.86
B14 0.5533 0.9328 0.5000  3 B 1.79-1.83
B15 0.5998 0.5279 0.5000  3 B 1.84-1.94
B16 0.6307 0.6858 0.5000  3 B 1.73-1.84
B17 0.7087 0.2651 0.5000  3 B 1.73-1.86
B18 0.7487 0.9182 0.5000  3 B 1.80-1.88
B19 0.7513 0.4182 0.5000  3 B 1.80-1.88
B20 0.7913 0.7651 0.5000  3 B 1.73-1.86
B21 0.8693 0.1858 0.5000  3 B 1.73-1.84
B22 0.9002 0.0279 0.5000  3 B 1.84-1.94
B23 0.9467 0.4328 0.5000  3 B 1.79-1.83
B24 0.9825 0.7117 0.5000  3 B 1.79-1.86

The following is a DFT calculation (r2SCAN) of a relaxed Dy2B6Rh9 crystal.

Results
For the total energy, the calculation gives -337.270 eV per cell. The magnetic moment comes out at 0.00 μB per atom.

a = 5.5650 Å, b = 5.5650 Å, c = 8.5264 Å
α = 90.00°, β = 90.00°, γ = 120.00°
Closest atoms and distances in Å follow each position.
Sites, in units of the cell vectors:
Dy1 0.0000 0.0000 0.2061  12 Rh 2.99-3.29, 6 B 3.23
Dy2 0.0000 0.0000 0.7939  12 Rh 2.99-3.29, 6 B 3.23
B1 0.3333 0.6667 0.1676  6 Rh 2.15
B2 0.3333 0.6667 0.5000  6 Rh 2.13
B3 0.3333 0.6667 0.8324  6 Rh 2.15
B4 0.6667 0.3333 0.1676  6 Rh 2.15
B5 0.6667 0.3333 0.5000  6 Rh 2.13
B6 0.6667 0.3333 0.8324  6 Rh 2.15
Rh1 0.0000 0.5000 0.0000  4 B 2.15
Rh2 0.0000 0.5000 0.3358  4 B 2.13-2.15
Rh3 0.0000 0.5000 0.6642  4 B 2.13-2.15
Rh4 0.5000 0.0000 0.0000  4 B 2.15
Rh5 0.5000 0.0000 0.3358  4 B 2.13-2.15
Rh6 0.5000 0.0000 0.6642  4 B 2.13-2.15
Rh7 0.5000 0.5000 0.0000  4 B 2.15
Rh8 0.5000 0.5000 0.3358  4 B 2.13-2.15
Rh9 0.5000 0.5000 0.6642  4 B 2.13-2.15

The following is a DFT calculation (r2SCAN) of a relaxed DyB4Rh crystal.

Results
For the total energy, the calculation gives -358.314 eV per cell. The magnetic moment comes out at 0.00 μB per atom.

a = 5.9478 Å, b = 11.5354 Å, c = 3.5579 Å
α = 90.00°, β = 90.00°, γ = 90.00°
Closest atoms and distances in Å follow each position.
Sites, in units of the cell vectors:
Dy1 0.1306 0.1488 0.0000  14 B 2.62-2.77
Dy2 0.3694 0.6488 0.0000  14 B 2.62-2.77
Dy3 0.6306 0.3512 0.0000  14 B 2.62-2.77
Dy4 0.8694 0.8512 0.0000  14 B 2.62-2.77
B1 0.0233 0.6922 0.5000  3 B 1.76-1.86
B2 0.1123 0.5467 0.5000  3 B 1.72-1.76
B3 0.1366 0.9691 0.5000  3 B 1.74-1.85
B4 0.2109 0.8132 0.5000  3 B 1.79-1.86
B5 0.2891 0.3132 0.5000  3 B 1.79-1.86
B6 0.3634 0.4691 0.5000  3 B 1.74-1.85
B7 0.3877 0.0467 0.5000  3 B 1.72-1.76
B8 0.4767 0.1922 0.5000  3 B 1.76-1.86
B9 0.5233 0.8078 0.5000  3 B 1.76-1.86
B10 0.6123 0.9533 0.5000  3 B 1.72-1.76
B11 0.6366 0.5309 0.5000  3 B 1.74-1.85
B12 0.7109 0.6868 0.5000  3 B 1.79-1.86
B13 0.7891 0.1868 0.5000  3 B 1.79-1.86
B14 0.8634 0.0309 0.5000  3 B 1.74-1.85
B15 0.8877 0.4533 0.5000  3 B 1.72-1.76
B16 0.9767 0.3078 0.5000  3 B 1.76-1.86
Rh1 0.1419 0.4054 0.0000  10 B 2.25-2.42
Rh2 0.3581 0.9054 0.0000  10 B 2.25-2.42
Rh3 0.6419 0.0946 0.0000  10 B 2.25-2.42
Rh4 0.8581 0.5946 0.0000  10 B 2.25-2.42

The following is a DFT calculation (r2SCAN) of a relaxed DyB4Ru crystal.

Results
For the total energy, the calculation gives -363.922 eV per cell. The magnetic moment comes out at 0.00 μB per atom.

a = 5.9447 Å, b = 11.4986 Å, c = 3.5519 Å
α = 90.00°, β = 90.00°, γ = 90.00°
Closest atoms and distances in Å follow each position.
Sites, in units of the cell vectors:
Dy1 0.1286 0.1500 0.0000  14 B 2.64-2.77
Dy2 0.3714 0.6500 0.0000  14 B 2.64-2.77
Dy3 0.6286 0.3500 0.0000  14 B 2.64-2.77
Dy4 0.8714 0.8500 0.0000  14 B 2.64-2.77
B1 0.0240 0.6914 0.5000  3 B 1.74-1.86
B2 0.1119 0.5466 0.5000  3 B 1.71-1.74
B3 0.1365 0.9698 0.5000  3 B 1.74-1.84
B4 0.2114 0.8148 0.5000  3 B 1.80-1.86
B5 0.2886 0.3147 0.5000  3 B 1.80-1.86
B6 0.3635 0.4698 0.5000  3 B 1.74-1.84
B7 0.3881 0.0466 0.5000  3 B 1.71-1.74
B8 0.4760 0.1914 0.5000  3 B 1.74-1.86
B9 0.5240 0.8086 0.5000  3 B 1.74-1.86
B10 0.6119 0.9534 0.5000  3 B 1.71-1.74
B11 0.6365 0.5302 0.5000  3 B 1.74-1.84
B12 0.7114 0.6852 0.5000  3 B 1.80-1.86
B13 0.7886 0.1852 0.5000  3 B 1.80-1.86
B14 0.8635 0.0302 0.5000  3 B 1.74-1.84
B15 0.8881 0.4534 0.5000  3 B 1.71-1.74
B16 0.9760 0.3086 0.5000  3 B 1.74-1.86
Ru1 0.1401 0.4075 0.0000  10 B 2.25-2.40
Ru2 0.3599 0.9075 0.0000  10 B 2.25-2.40
Ru3 0.6401 0.0925 0.0000  10 B 2.25-2.40
Ru4 0.8599 0.5925 0.0000  10 B 2.25-2.40

The following is a DFT calculation (r2SCAN) of a relaxed Dy2B6Ru crystal.

Results
For the total energy, the calculation gives -560.729 eV per cell. The magnetic moment comes out at 0.00 μB per atom.

a = 9.1361 Å, b = 11.4990 Å, c = 3.6594 Å
α = 90.00°, β = 90.00°, γ = 90.00°
Closest atoms and distances in Å follow each position.
Sites, in units of the cell vectors:
Dy1 0.0561 0.1273 0.0000  12 B 2.60-2.63, 2 Ru 2.85-2.86
Dy2 0.1773 0.4142 0.0000  14 B 2.72-2.80
Dy3 0.3227 0.9142 0.0000  14 B 2.72-2.80
Dy4 0.4439 0.6273 0.0000  12 B 2.60-2.63, 2 Ru 2.85-2.86
Dy5 0.5561 0.3727 0.0000  12 B 2.60-2.63, 2 Ru 2.85-2.86
Dy6 0.6773 0.0858 0.0000  14 B 2.72-2.80
Dy7 0.8227 0.5858 0.0000  14 B 2.72-2.80
Dy8 0.9439 0.8727 0.0000  12 B 2.60-2.63, 2 Ru 2.85-2.86
B1 0.0160 0.2871 0.5000  3 B 1.79-1.87
B2 0.0539 0.5674 0.5000  3 B 1.77-1.84
B3 0.1112 0.9693 0.5000  2 B 1.79-1.82
B4 0.1322 0.8144 0.5000  3 B 1.72-1.79
B5 0.2096 0.2334 0.5000  3 B 1.72-1.87
B6 0.2472 0.5802 0.5000  3 B 1.77-1.82
B7 0.2528 0.0802 0.5000  3 B 1.77-1.82
B8 0.2904 0.7334 0.5000  3 B 1.72-1.87
B9 0.3678 0.3144 0.5000  3 B 1.72-1.79
B10 0.3888 0.4693 0.5000  2 B 1.79-1.82
B11 0.4461 0.0674 0.5000  3 B 1.77-1.84
B12 0.4840 0.7871 0.5000  3 B 1.79-1.87
B13 0.5160 0.2129 0.5000  3 B 1.79-1.87
B14 0.5539 0.9326 0.5000  3 B 1.77-1.84
B15 0.6112 0.5307 0.5000  2 B 1.79-1.82
B16 0.6322 0.6856 0.5000  3 B 1.72-1.79
B17 0.7096 0.2666 0.5000  3 B 1.72-1.87
B18 0.7472 0.9198 0.5000  3 B 1.77-1.82
B19 0.7528 0.4198 0.5000  3 B 1.77-1.82
B20 0.7904 0.7666 0.5000  3 B 1.72-1.87
B21 0.8678 0.1856 0.5000  3 B 1.72-1.79
B22 0.8888 0.0307 0.5000  2 B 1.79-1.82
B23 0.9461 0.4326 0.5000  3 B 1.77-1.84
B24 0.9840 0.7129 0.5000  3 B 1.79-1.87
Ru1 0.1376 0.6787 0.0000  10 B 2.34-2.40
Ru2 0.3624 0.1787 0.0000  10 B 2.34-2.40
Ru3 0.6376 0.8213 0.0000  10 B 2.34-2.40
Ru4 0.8624 0.3213 0.0000  10 B 2.34-2.40

The following is a DFT calculation (r2SCAN) of a relaxed Dy5Si2B8 crystal.

Results
For the total energy, the calculation gives -495.070 eV per cell. The magnetic moment comes out at 0.00 μB per atom.

a = 7.2219 Å, b = 7.2219 Å, c = 8.0945 Å
α = 90.00°, β = 90.00°, γ = 90.00°
Closest atoms and distances in Å follow each position.
Sites, in units of the cell vectors:
Dy1 0.0000 0.0000 0.0000  2 B 2.74, 4 Si 2.90
Dy2 0.1808 0.3192 0.2763  8 B 2.63-2.75
Dy3 0.1808 0.3192 0.7237  8 B 2.63-2.75
Dy4 0.3192 0.8192 0.2763  8 B 2.63-2.75
Dy5 0.3192 0.8192 0.7237  8 B 2.63-2.75
Dy6 0.5000 0.5000 0.0000  2 B 2.74, 4 Si 2.90
Dy7 0.6808 0.1808 0.2763  8 B 2.63-2.75
Dy8 0.6808 0.1808 0.7237  8 B 2.63-2.75
Dy9 0.8192 0.6808 0.2763  8 B 2.63-2.75
Dy10 0.8192 0.6808 0.7237  8 B 2.63-2.75
Si1 0.1149 0.6149 0.0000  1 Si 2.35
Si2 0.3851 0.1149 0.0000  1 Si 2.35
Si3 0.6149 0.8851 0.0000  1 Si 2.35
Si4 0.8851 0.3851 0.0000  1 Si 2.35
B1 0.0000 0.0000 0.3385  4 B 1.83
B2 0.0000 0.0000 0.6615  4 B 1.83
B3 0.0392 0.8280 0.5000  5 B 1.75-1.83
B4 0.0908 0.5908 0.5000  3 B 1.75-1.85
B5 0.1720 0.0392 0.5000  5 B 1.75-1.83
B6 0.3280 0.5392 0.5000  5 B 1.75-1.83
B7 0.4092 0.0908 0.5000  3 B 1.75-1.85
B8 0.4608 0.3280 0.5000  5 B 1.75-1.83
B9 0.5000 0.5000 0.3385  4 B 1.83
B10 0.5000 0.5000 0.6615  4 B 1.83
B11 0.5392 0.6720 0.5000  5 B 1.75-1.83
B12 0.5908 0.9092 0.5000  3 B 1.75-1.85
B13 0.6720 0.4608 0.5000  5 B 1.75-1.83
B14 0.8280 0.9608 0.5000  5 B 1.75-1.83
B15 0.9092 0.4092 0.5000  3 B 1.75-1.85
B16 0.9608 0.1720 0.5000  5 B 1.75-1.83

The following is a DFT calculation (r2SCAN) of a relaxed DyVB4 crystal.

Results
For the total energy, the calculation gives -320.390 eV per cell. The magnetic moment comes out at 0.00 μB per atom.

a = 6.0000 Å, b = 11.6154 Å, c = 3.4366 Å
α = 90.00°, β = 90.00°, γ = 90.00°
Closest atoms and distances in Å follow each position.
Sites, in units of the cell vectors:
Dy1 0.1243 0.1515 0.0000  14 B 2.62-2.77
Dy2 0.3757 0.6515 0.0000  14 B 2.62-2.77
Dy3 0.6243 0.3485 0.0000  14 B 2.62-2.77
Dy4 0.8757 0.8485 0.0000  14 B 2.62-2.77
V1 0.1272 0.4171 0.0000  10 B 2.29-2.32, 1 V 2.46
V2 0.3728 0.9171 0.0000  10 B 2.29-2.32, 1 V 2.46
V3 0.6272 0.0829 0.0000  10 B 2.29-2.32, 1 V 2.46
V4 0.8728 0.5829 0.0000  10 B 2.29-2.32, 1 V 2.46
B1 0.0230 0.6920 0.5000  3 B 1.77-1.86
B2 0.1147 0.5474 0.5000  3 B 1.76-1.77
B3 0.1362 0.9676 0.5000  3 B 1.76-1.84
B4 0.2139 0.8146 0.5000  3 B 1.83-1.86
B5 0.2861 0.3146 0.5000  3 B 1.83-1.86
B6 0.3638 0.4676 0.5000  3 B 1.76-1.84
B7 0.3853 0.0474 0.5000  3 B 1.76-1.77
B8 0.4770 0.1920 0.5000  3 B 1.77-1.86
B9 0.5230 0.8080 0.5000  3 B 1.77-1.86
B10 0.6147 0.9526 0.5000  3 B 1.76-1.77
B11 0.6362 0.5324 0.5000  3 B 1.76-1.84
B12 0.7139 0.6854 0.5000  3 B 1.83-1.86
B13 0.7861 0.1854 0.5000  3 B 1.83-1.86
B14 0.8638 0.0324 0.5000  3 B 1.76-1.84
B15 0.8853 0.4526 0.5000  3 B 1.76-1.77
B16 0.9770 0.3080 0.5000  3 B 1.77-1.86

Number 6 is which compound? Dy2B6Ru